Density functional theory data (PBE) for an optimized crystal structure of Cs2La10Os2I17.

Summary:
- Space-group type: C2/m, No. 12

Unit cell a=11.9500 b=11.9500 c=10.1610 alpha=86.79 beta=86.79 gamma=107.79
Last column: nearest neighbours and their distance in Å.
Atoms (fractional coordinates):
Cs: 0.6744 0.3256 0.0000  12 I 4.23-4.59
Cs: 0.3256 0.6744 0.0000  12 I 4.23-4.59
La: 0.7074 0.0073 0.4267  1 Os 2.90, 1 I 3.23
La: 0.2926 0.9927 0.5733  1 Os 2.90, 1 I 3.23
La: 0.9927 0.2926 0.5733  1 Os 2.90, 1 I 3.23
La: 0.0073 0.7074 0.4267  1 Os 2.90, 1 I 3.23
La: 0.6703 0.6703 0.5560  1 Os 2.82
La: 0.3297 0.3297 0.4440  1 Os 2.82
La: 0.9361 0.9361 0.6797  2 Os 2.87-3.01
La: 0.0639 0.0639 0.3203  2 Os 2.87-3.01
La: 0.7932 0.7932 0.1829  1 Os 2.74
La: 0.2068 0.2068 0.8171  1 Os 2.74
Os: 0.8574 0.8574 0.4292  6 La 2.74-3.01
Os: 0.1426 0.1426 0.5708  6 La 2.74-3.01
I: 0.6147 0.9502 0.1380  2 La 3.23-3.28
I: 0.3853 0.0498 0.8620  2 La 3.23-3.28
I: 0.0498 0.3853 0.8620  2 La 3.23-3.28
I: 0.9502 0.6147 0.1380  2 La 3.23-3.28
I: 0.5285 0.1900 0.4203  3 La 3.30-3.49
I: 0.4715 0.8100 0.5797  3 La 3.30-3.49
I: 0.8100 0.4715 0.5797  3 La 3.30-3.49
I: 0.1900 0.5285 0.4203  3 La 3.30-3.49
I: 0.5622 0.5622 0.2805  3 La 3.31-3.53
I: 0.4378 0.4378 0.7195  3 La 3.31-3.53
I: 0.2482 0.8995 0.2731  3 La 3.32-3.40
I: 0.7518 0.1005 0.7269  3 La 3.32-3.40
I: 0.1005 0.7518 0.7269  3 La 3.32-3.40
I: 0.8995 0.2482 0.2731  3 La 3.32-3.40
I: 0.2902 0.2902 0.1306  3 La 3.28-3.56
I: 0.7098 0.7098 0.8694  3 La 3.28-3.56
I: 0.0000 0.0000 0.0000  4 La 3.30-3.46

Density functional theory data (PBE) for an optimized crystal structure of Cs2Li3I5.

Summary:
- Piezoelectric modulus e_max: 0.03 C/m2
- Space-group type: P1, No. 1

Unit cell a=4.7527 b=8.8361 c=10.9368 alpha=67.25 beta=77.46 gamma=74.41
Last column: nearest neighbours and their distance in Å.
Atoms (fractional coordinates):
Cs: 0.6812 0.8594 0.7729  7 I 3.87-4.04
Cs: 0.3140 0.1450 0.2268  7 I 3.88-4.02
Li: 0.0460 0.6951 0.2059  4 I 2.74-2.79
Li: 0.5079 0.5004 0.4974  6 I 3.11-3.21
Li: 0.9437 0.3118 0.7939  4 I 2.74-2.78
I: 0.3567 0.4771 0.8036  2 Li 2.78
I: 0.0985 0.2431 0.5618  1 Li 2.74
I: 0.8970 0.7639 0.4377  1 Li 2.74
I: 0.6340 0.5272 0.1994  3 Li 2.78-3.11
I: 0.9981 0.0026 0.9995  2 Li 2.77-2.78

Density functional theory data (PBE) for an optimized crystal structure of Cs2Li3I5.

Summary:
- Space-group type: C2/m, No. 12

Unit cell a=4.7482 b=8.8060 c=11.0090 alpha=67.82 beta=77.55 gamma=74.36
Last column: nearest neighbours and their distance in Å.
Atoms (fractional coordinates):
Cs: 0.3127 0.1420 0.2326  7 I 3.92-3.99
Cs: 0.6873 0.8580 0.7674  7 I 3.92-3.99
Li: 0.5000 0.5000 0.5000  6 I 3.11-3.17
Li: 0.0503 0.6960 0.2033  4 I 2.74-2.79
Li: 0.9497 0.3040 0.7967  4 I 2.74-2.79
I: 0.0000 0.0000 0.0000  2 Li 2.76
I: 0.0994 0.2362 0.5650  1 Li 2.74
I: 0.9006 0.7638 0.4350  1 Li 2.74
I: 0.6360 0.5234 0.2045  3 Li 2.79-3.11
I: 0.3640 0.4766 0.7955  3 Li 2.79-3.11

Density functional theory data (PBE) for an optimized crystal structure of Cs3Li2I5.

Summary:
- Space-group type: C2/m, No. 12

Unit cell a=15.7661 b=15.7661 c=12.1285 alpha=79.46 beta=79.46 gamma=18.46
Last column: nearest neighbours and their distance in Å.
Atoms (fractional coordinates):
Cs: 0.7469 0.7469 0.2580  7 I 3.81-4.16
Cs: 0.0696 0.0696 0.3444  6 I 3.90-4.10
Cs: 0.9384 0.9384 0.1559  8 I 3.94-4.38
Cs: 0.0616 0.0616 0.8441  8 I 3.94-4.38
Cs: 0.9304 0.9304 0.6556  6 I 3.90-4.10
Cs: 0.2531 0.2531 0.7420  7 I 3.81-4.16
Li: 0.3543 0.3543 0.9648  4 I 2.79-2.87
Li: 0.6457 0.6457 0.0352  4 I 2.79-2.87
Li: 0.3568 0.3568 0.4161  4 I 2.75-2.88
Li: 0.6432 0.6432 0.5839  4 I 2.75-2.88
I: 0.6601 0.6601 0.8014  2 Li 2.78-2.79
I: 0.3399 0.3399 0.1986  2 Li 2.78-2.79
I: 0.5543 0.5543 0.5933  1 Li 2.75
I: 0.4448 0.4448 0.8928  1 Li 2.79
I: 0.1785 0.1785 0.0949  2 Li 2.87
I: 0.1769 0.1769 0.4935  2 Li 2.88
I: 0.8215 0.8215 0.9051  2 Li 2.87
I: 0.8231 0.8231 0.5065  2 Li 2.88
I: 0.5552 0.5552 0.1072  1 Li 2.79
I: 0.4457 0.4457 0.4067  1 Li 2.75

Density functional theory data (PBE) for an optimized crystal structure of Cs3LiI4.

Summary:
- Space-group type: P2_1/m, No. 11

Unit cell a=9.3686 b=5.2095 c=17.4413 alpha=81.76 beta=90.00 gamma=90.00
Last column: nearest neighbours and their distance in Å.
Atoms (fractional coordinates):
Cs: 0.7500 0.6204 0.7392  6 I 3.88-3.94
Cs: 0.7500 0.2871 0.4554  6 I 3.83-3.98, 2 Li 4.25-4.27
Cs: 0.0000 0.5000 0.0000  6 I 3.85-4.00
Cs: 0.2500 0.3796 0.2608  6 I 3.88-3.94
Cs: 0.2500 0.7129 0.5446  6 I 3.83-3.98, 2 Li 4.25-4.27
Cs: 0.5000 0.5000 0.0000  6 I 3.85-4.00
Li: 0.2500 0.1225 0.7398  4 I 2.87-2.89
Li: 0.7500 0.8775 0.2602  4 I 2.87-2.89
I: 0.7500 0.0433 0.9070  6 Cs 3.85-3.91
I: 0.0064 0.1676 0.6392  1 Li 2.87
I: 0.7500 0.4118 0.1876  2 Li 2.89
I: 0.9936 0.8324 0.3608  1 Li 2.87
I: 0.4936 0.1676 0.6392  1 Li 2.87
I: 0.5064 0.8324 0.3608  1 Li 2.87
I: 0.2500 0.9567 0.0930  6 Cs 3.85-3.91
I: 0.2500 0.5882 0.8124  2 Li 2.89

Density functional theory data (PBE) for an optimized crystal structure of Cs2LiMoI6.

Summary:
- Space-group type: Fm-3m, No. 225

Unit cell a=8.3253 b=8.3253 c=8.3253 alpha=60.00 beta=60.00 gamma=60.00
Last column: nearest neighbours and their distance in Å.
Atoms (fractional coordinates):
Cs: 0.7500 0.7500 0.7500  12 I 4.16
Cs: 0.2500 0.2500 0.2500  12 I 4.16
Li: 0.5000 0.5000 0.5000  6 I 3.05
Mo: 0.0000 0.0000 0.0000  6 I 2.83
I: 0.7594 0.2406 0.2406  1 Mo 2.83, 1 Li 3.05
I: 0.2406 0.2406 0.7594  1 Mo 2.83, 1 Li 3.05
I: 0.2406 0.7594 0.7594  1 Mo 2.83, 1 Li 3.05
I: 0.2406 0.7594 0.2406  1 Mo 2.83, 1 Li 3.05
I: 0.7594 0.2406 0.7594  1 Mo 2.83, 1 Li 3.05
I: 0.7594 0.7594 0.2406  1 Mo 2.83, 1 Li 3.05

Density functional theory data (PBE) for an optimized crystal structure of Cs2LiSbI6.

Summary:
- Space-group type: Fm-3m, No. 225

Unit cell a=8.5615 b=8.5615 c=8.5615 alpha=60.00 beta=60.00 gamma=60.00
Last column: nearest neighbours and their distance in Å.
Atoms (fractional coordinates):
Cs: 0.7500 0.7500 0.7500  12 I 4.28
Cs: 0.2500 0.2500 0.2500  12 I 4.28
Li: 0.5000 0.5000 0.5000  6 I 3.02
Sb: 0.0000 0.0000 0.0000  6 I 3.04
I: 0.7493 0.2507 0.2507  1 Li 3.02, 1 Sb 3.04
I: 0.2507 0.2507 0.7493  1 Li 3.02, 1 Sb 3.04
I: 0.2507 0.7493 0.7493  1 Li 3.02, 1 Sb 3.04
I: 0.2507 0.7493 0.2507  1 Li 3.02, 1 Sb 3.04
I: 0.7493 0.2507 0.7493  1 Li 3.02, 1 Sb 3.04
I: 0.7493 0.7493 0.2507  1 Li 3.02, 1 Sb 3.04

Density functional theory data (PBE) for an optimized crystal structure of Cs3MnI5.

Summary:
- Space-group type: I4/mcm, No. 140

Unit cell a=11.1919 b=11.1919 c=11.1919 alpha=124.28 beta=124.28 gamma=82.73
Last column: nearest neighbours and their distance in Å.
Atoms (fractional coordinates):
Cs: 0.8438 0.6562 0.5000  8 I 3.92-4.09
Cs: 0.7500 0.7500 0.0000  10 I 4.20-4.32
Cs: 0.3438 0.8438 0.1876  8 I 3.92-4.09
Cs: 0.1562 0.3438 0.5000  8 I 3.92-4.09
Cs: 0.2500 0.2500 0.0000  10 I 4.20-4.32
Cs: 0.6562 0.1562 0.8124  8 I 3.92-4.09
Mn: 0.2500 0.7500 0.5000  4 I 2.69
Mn: 0.7500 0.2500 0.5000  4 I 2.69
I: 0.4912 0.6999 0.5000  1 Mn 2.69
I: 0.5088 0.3001 0.5000  1 Mn 2.69
I: 0.6999 0.1999 0.2087  1 Mn 2.69
I: 0.8001 0.0088 0.5000  1 Mn 2.69
I: 0.5000 0.5000 0.0000  6 Cs 3.95-4.20
I: 0.1999 0.9912 0.5000  1 Mn 2.69
I: 0.0088 0.5088 0.2087  1 Mn 2.69
I: 0.3001 0.8001 0.7913  1 Mn 2.69
I: 0.9912 0.4912 0.7913  1 Mn 2.69
I: 0.0000 0.0000 0.0000  6 Cs 3.95-4.20

We obtain energy of formation from the pure elements values of -1546; -1536; -1536; -1594; -1639; -1135; -1229; -1426 meV/atom for the records listed above, in that order.